Record 1
AgSb3PbS6 | GGA-PBE | optimized geometry

Structure (extended XYZ):
```
22
Lattice="-1.6498 3.8524 3.5050 -7.6946 -8.6716 5.9093 10.8505 0.5336 4.5208" Properties=species:S:1:pos:R:3 pbc="T T T"
Sb -5.9836 -3.6155 6.5933
Sb 3.7455 -0.0788 4.9293
Sb 8.2680 -0.7201 7.1361
Sb -1.7039 -3.6897 9.3160
Sb 6.5093 2.7379 6.1777
Sb -2.0406 -3.5523 5.3365
S -0.2717 -1.6644 3.3372
S -7.1794 -5.7078 6.9859
S 2.4447 1.9454 4.5636
S -3.3215 -1.4221 5.0463
S 5.2712 0.6037 6.8295
S -0.4480 -3.2106 7.2280
S -1.4379 -6.2048 9.6120
S 0.2903 -3.3610 10.7107
S 8.6898 1.7066 6.8200
S 2.0288 -0.9549 6.4284
S 4.5237 -3.2938 8.7141
S -3.7092 -4.6812 6.9030
Ag 3.7796 -1.0705 8.1988
Ag -5.1112 -6.5646 8.0819
Pb 0.0544 0.4896 5.1318
Pb 2.1695 -4.8339 9.2055
```

Calculated values
ΔE_f = -0.44 eV/atom
Polymorph energy (0 for the lowest one) = 111.1 meV/atom
Space-group type = Pc, No. 7


Record 2
Mg2FeN2 | GGA-PBE | optimized geometry

Structure (extended XYZ):
```
10
Lattice="-3.2705 0.7284 4.3744 -2.6562 -3.4272 3.4000 2.6027 -0.9318 5.6154" Properties=species:S:1:pos:R:3 pbc="T T T"
N -3.2811 -2.7773 9.7771
N -0.7751 -2.0225 8.1379
N -2.5490 -1.6081 5.2519
N -0.0430 -0.8534 3.6128
Fe -1.8587 -1.1119 3.5708
Fe -1.4654 -2.5187 9.8190
Mg -0.3719 -1.4226 5.8334
Mg -2.9522 -2.2080 7.5564
Mg -3.7785 -3.3149 11.7565
Mg 0.4544 -0.3158 1.6333
```

Calculated values
ΔE_f = -0.61 eV/atom
Space-group type = C2/m, No. 12


Record 3
Na10La7NbP12O48 | GGA-PBE | optimized geometry

Structure (extended XYZ):
```
234
Lattice="-15.2113 8.9420 7.0503 -0.8736 -8.7018 -3.7550 4.2903 -9.6670 21.3945" Properties=species:S:1:pos:R:3 pbc="T T T"
O -11.4127 -7.4414 17.4034
O -2.5869 -1.8016 6.6522
O 0.3915 -14.5256 16.5211
O -4.3587 -4.0241 5.7485
O -2.0827 -8.4982 3.4207
O -10.5025 0.4332 23.5518
O -1.7712 -10.4563 19.9725
O -5.2204 -7.4101 20.8546
O -2.8978 -9.7036 8.7154
O -5.7537 -5.2420 3.9985
O -13.3161 -1.8959 9.7785
O -6.4019 -11.3827 22.0149
O -1.4604 -6.1778 7.4260
O 1.0760 -4.8646 13.2246
O -10.8411 2.0246 6.8346
O -2.8956 -4.0421 20.0299
O -10.9985 -5.1696 12.4677
O -1.3833 -5.7623 -0.3302
O -5.7007 -4.0227 20.6138
O -8.1665 -1.3446 7.6088
O -1.0521 -11.6316 17.8641
O -6.5361 -3.2211 18.3594
O -12.0063 5.0967 8.2568
O -8.8464 0.3506 15.8604
O -14.3413 2.5216 7.5702
O -5.2350 -2.8345 15.3635
O 0.0344 -8.8452 5.8872
O -10.4055 0.9931 4.5647
O -7.5322 -4.3592 9.4336
O -8.5394 -2.4126 13.1529
O -3.8254 -11.8981 13.8881
O -5.3048 -9.0357 15.4422
O -2.7926 -7.7423 21.4304
O -10.4023 -3.2808 24.9402
O -9.7795 -0.1871 12.8455
O -3.2532 -2.3848 3.1215
O -11.1019 -3.9508 20.6291
O -10.2958 2.6489 9.9150
O -4.9010 -10.4691 17.4980
O -8.5366 -7.0253 13.9465
O -1.6455 -12.1776 14.9915
O -7.0638 0.6767 6.6925
O -0.4127 -5.7714 4.2889
O -13.3321 -0.7203 7.5484
O -11.8755 -1.4440 3.7147
O -0.9279 -10.8065 3.2870
O -13.1087 3.1244 10.9876
O -6.9441 -1.2116 1.6354
O -12.2726 0.4390 9.5555
O -4.2622 -5.9023 0.1976
O -3.3770 -8.6853 6.4245
O 3.0070 -12.3825 19.7180
O 1.8984 -8.4916 17.0857
O -11.0664 2.1742 14.2651
O -10.9542 -2.4185 15.4299
O -8.9372 -1.4486 10.8172
O -4.3451 -5.2674 15.4224
O 0.3452 -9.9529 15.6115
O -0.8828 -0.9243 4.9729
O -10.7943 -7.8404 22.5424
O 0.9144 -11.1839 5.4620
O 1.6210 -12.6058 14.1179
O -0.9678 -12.8860 20.0859
O -12.8206 1.6268 18.8975
O -0.8633 -11.4717 10.4213
O -5.1578 -8.8529 8.2091
O -6.7015 -6.7548 9.4373
O -2.1050 -4.8026 9.3683
O -0.9237 -4.9964 14.8621
O 3.6153 -10.1505 18.6817
O 1.0466 -7.7082 14.8305
O -0.4565 -6.7471 9.6610
O -2.1528 -5.5575 18.1356
O -4.3186 0.6636 4.9225
O -9.7448 -1.0939 21.6751
O -3.5175 -6.1310 4.5129
O -8.8797 2.8672 5.3619
O -2.7240 -3.4717 0.9431
O -8.1716 -3.4578 20.2913
O -3.4551 -2.2350 10.7269
O -1.2177 -4.2662 12.4833
O -3.3643 -6.8691 11.6813
O -1.2127 -1.5978 1.7687
O -12.7626 -0.4294 13.3438
O -4.6086 -7.9092 23.2473
O -14.5525 3.2430 5.1739
O -5.6168 -1.3930 7.0679
O -12.2471 0.4491 16.7780
O -3.1902 -12.3095 19.0173
O -7.3216 -3.6363 24.1889
O 1.1194 -4.3439 5.7495
O -5.8221 -12.1200 19.6554
O -7.2248 -10.0578 20.0330
O -15.5415 1.0454 5.8313
O -8.6569 -7.1614 21.3875
O -4.3601 -9.0634 12.3888
O -9.3752 -5.9869 23.4961
O -13.4221 7.2583 8.2223
O 0.2822 -4.6279 8.4761
O 1.2026 -15.8774 18.4858
O -6.4445 -0.1084 9.0054
O 0.6500 -10.3313 7.8345
O -14.4984 5.1471 10.3588
O -11.2417 3.4002 4.7573
O -6.5961 -0.3964 16.6807
O -11.9922 -4.6180 15.9665
O -0.5823 -7.9366 16.7653
O -6.6699 -4.7750 14.6025
O -3.5447 -1.0400 1.0298
O -5.9831 -8.1345 17.6391
O -7.9269 -3.4109 2.2781
O -10.2404 -3.5525 17.5578
O -1.9078 -8.9699 11.7194
O -7.9720 2.4730 10.7300
O -8.6477 -0.5721 18.2129
O -5.8102 2.7766 4.6853
O -5.3097 -6.2666 6.3006
O -6.6643 -1.9721 4.0085
O -12.9057 -4.5597 18.9738
O -8.9539 -1.2898 3.2276
O -8.5649 -8.4126 23.6112
O -6.9856 -5.5269 11.5909
O -4.6028 -4.0097 13.2722
O -13.0624 -4.3508 11.2273
O -5.1395 1.4391 2.6686
O -5.1071 -4.8819 9.9163
O 0.9742 -9.2890 11.1119
O -9.5338 -4.5497 15.3534
O -7.3321 -0.3281 12.4745
O -12.5087 -6.0006 21.0231
O -11.1272 -1.4890 8.4587
O -3.9947 -5.6771 22.2145
O -9.3303 -5.0941 4.7335
O 0.2705 -8.0931 20.6529
O -12.8226 6.0705 6.0989
O -9.2428 -7.7088 18.5222
O 1.7776 -16.5961 16.1242
O -2.6245 -7.8764 13.8917
O -7.2524 -5.4734 19.1284
O 2.3783 -11.8826 17.3318
O -9.9097 -3.9036 6.8484
O -10.7624 -4.3774 10.0928
O -11.9040 -0.7856 18.9447
O -3.4954 -8.4221 17.0834
Na -9.6369 -5.5454 19.6102
Na -4.2159 -13.8382 21.0497
Na -8.4136 1.6953 13.4346
Na -4.5773 -8.3293 3.9043
Na 1.7050 -11.6169 9.9276
Na -11.7814 1.3053 11.8168
Na -0.1669 -3.5159 0.5239
Na -4.0768 -6.6776 8.7439
Na -1.7399 -7.8839 19.0622
Na -3.3748 -11.0353 11.1491
Na -2.8288 -7.8353 -0.8774
Na -7.7388 -2.7112 15.7852
Na -3.8927 -3.1511 8.1975
Na -5.5025 -0.4235 14.0227
Na -5.9476 -7.0549 13.4221
Na -0.1454 -7.1520 12.2439
Na -9.3484 -3.4196 22.5948
Na -5.3070 -3.8689 1.4618
Na 4.2649 -9.6239 21.2806
Na -7.7687 0.9160 4.1538
Na -12.9105 0.6110 4.9963
Na -0.1190 -10.8367 12.9301
Na -11.0701 -6.6007 14.6750
Na -2.3166 -5.8449 2.3462
Na -2.0278 -10.0357 16.1143
Na -9.6826 0.4765 8.8823
Na 1.2319 -13.4424 6.7638
Na -10.4515 -3.4089 2.6815
Na -7.7188 -6.3524 16.4675
Na -9.9740 -1.6668 5.7652
La 2.7627 -6.3906 14.0700
La -4.8442 -1.8786 17.5507
La -10.6988 0.1343 2.2562
La -8.6499 -4.7147 13.0688
La -15.4068 -1.2495 6.6490
La -0.7787 -9.1915 9.4466
La -4.5183 -1.8059 4.9810
La -7.1240 -7.8146 19.6763
La 0.4770 -12.2867 16.1473
La -2.3962 -6.4976 15.9037
La -7.8237 -5.6900 3.0985
La -1.1667 -9.3881 22.0276
La -12.3101 2.8131 8.6882
La -1.6563 -7.3583 5.4613
La -11.0103 -0.1625 14.9000
La -3.1058 -4.3360 -1.3113
La -3.2730 -4.4707 11.4365
La -9.3072 -2.9706 8.9668
La -9.9905 -2.0361 19.4509
La -8.7736 -4.9258 25.5538
La -6.1150 1.0535 10.9327
P 0.6523 -15.9381 17.0337
P -8.6599 -1.1135 12.2938
P -12.4980 -0.8999 8.8306
P -0.2687 -4.2289 13.6888
P -14.3278 3.9769 11.3463
P -7.6129 -1.9661 2.7899
P -6.8246 -0.5742 7.5792
P -12.7873 0.2358 18.1998
P -6.9208 -4.0468 19.6042
P 1.0148 -9.8992 6.3831
P -11.6862 -5.1178 11.0704
P -5.2077 -4.2306 14.6660
P -4.6709 1.9072 4.0568
P -10.6822 -3.7840 16.0917
P -0.9413 -5.5884 8.7415
P -10.6389 -8.3395 18.3941
P -1.6957 -11.7976 19.2436
P 3.4615 -11.7094 18.3926
P -8.9402 3.4073 9.9520
P -9.2979 -7.3287 22.7673
P -10.3449 2.3229 5.3912
P -6.5707 -5.3562 10.0956
P -12.5322 -4.5133 20.4698
P -4.7270 -5.3948 5.1588
P -1.2009 -1.1571 6.4614
P -4.9280 -8.9853 16.9379
P -3.0642 -8.1886 12.4325
P -7.9443 0.2563 17.1120
P 0.6721 -8.5243 16.0841
P -2.6850 -2.1097 1.7114
P -15.2493 2.5000 6.3179
P -3.0438 -12.8061 14.8648
P -12.3197 6.4129 7.5068
P -6.9513 -11.4614 20.5629
P -3.9431 -9.5687 7.5520
P -4.1470 -7.2347 21.9243
Nb 1.4804 -3.3456 7.4127
Nb -3.9993 -3.7481 21.6823
Nb 3.6079 -8.2213 18.1574
```

Calculated values
ΔE_f = -3.05 eV/atom
Space-group type = P1, No. 1


Record 4
Na5Ca6Nd5Zr16O48 | GGA-PBE | optimized geometry

Structure (extended XYZ):
```
80
Lattice="32.6682 0.0000 0.0000 0.0000 5.6714 0.0000 0.0000 0.0119 5.8575" Properties=species:S:1:pos:R:3 pbc="T T T"
O 28.5860 3.4604 0.2352
O 14.8279 4.4941 4.5928
O 1.5953 4.0765 1.6638
O 6.5208 3.8892 1.8272
O 8.1498 2.3206 5.6775
O 17.8110 4.0096 1.6724
O 17.8403 4.4941 4.5928
O 9.7927 4.4262 4.5910
O 31.0729 4.0765 1.6638
O 12.2621 5.1748 3.1883
O 20.4065 3.4622 0.1895
O 24.5184 2.3206 5.6775
O 10.5489 1.6267 4.2012
O 22.8755 4.4262 4.5910
O 26.1474 3.8892 1.8272
O 14.8572 4.0096 1.6724
O 26.0922 4.4512 4.5970
O 10.7084 1.1125 1.1915
O 5.5549 1.1408 1.2071
O 9.7300 3.9312 1.8023
O 5.7209 1.6945 4.1173
O 22.9383 3.9312 1.8023
O 16.3341 0.6215 2.6697
O 0.0000 0.5456 2.7271
O 12.2618 3.4622 0.1895
O 8.1469 0.6305 2.7499
O 21.9598 1.1125 1.1915
O 27.1133 1.1408 1.2071
O 4.0737 5.0631 3.1698
O 31.0415 4.6398 4.7463
O 2.4337 1.1575 1.1779
O 6.5760 4.4512 4.5970
O 2.5988 1.7128 4.1319
O 16.3341 2.2652 5.6445
O 13.9770 0.9936 1.0085
O 18.6912 0.9936 1.0085
O 26.9473 1.6945 4.1173
O 0.0000 2.2493 5.6622
O 14.0065 1.7606 4.0370
O 18.6618 1.7606 4.0370
O 24.5213 0.6305 2.7499
O 30.2346 1.1575 1.1779
O 30.0695 1.7128 4.1319
O 4.0823 3.4604 0.2352
O 1.6267 4.6398 4.7463
O 22.1193 1.6267 4.2012
O 28.5945 5.0631 3.1698
O 20.4061 5.1748 3.1883
Zr 2.0466 0.0121 2.9539
Zr 10.1893 0.0326 2.9010
Zr 14.1797 0.0310 2.9088
Zr 2.0579 2.8587 5.8252
Zr 22.4863 2.8235 0.0753
Zr 26.5593 2.8390 0.0337
Zr 26.5711 5.6762 2.9008
Zr 14.1819 2.8291 0.0242
Zr 22.4789 0.0326 2.9010
Zr 30.6216 0.0121 2.9539
Zr 30.6103 2.8587 5.8252
Zr 6.0971 5.6762 2.9008
Zr 18.4864 2.8291 0.0242
Zr 6.1090 2.8390 0.0337
Zr 18.4885 0.0310 2.9088
Zr 10.1819 2.8235 0.0753
Ca 28.6294 0.0971 5.5742
Ca 4.0388 0.0971 5.5742
Ca 4.1233 2.7694 2.6488
Ca 28.5450 2.7694 2.6488
Ca 12.0991 0.0761 5.5521
Ca 20.5691 0.0761 5.5521
Na 24.4887 5.6025 0.1656
Na 0.0000 2.9102 3.0949
Na 20.5923 2.8188 2.7919
Na 12.0760 2.8188 2.7919
Na 8.1795 5.6025 0.1656
Nd 24.5062 2.9304 3.3052
Nd 8.1620 2.9304 3.3052
Nd 0.0000 5.6046 0.3560
Nd 16.3341 2.9071 3.2653
Nd 16.3341 5.6119 0.2935
```

Calculated values
ΔE_f = -3.59 eV/atom
Space-group type = Pm, No. 6


Record 5
K5Tl3O | GGA-PBE | optimized geometry

Structure (extended XYZ):
```
36
Lattice="4.2424 -16.7956 0.0000 4.2424 16.7956 0.0000 0.0000 0.0000 8.9719" Properties=species:S:1:pos:R:3 pbc="T T T"
K 4.2424 6.0516 8.6797
K 2.1352 -4.2648 6.7289
K 4.2424 6.0516 4.7782
K 2.3492 7.8032 2.2430
K 1.7242 -0.2288 6.7289
K 2.1352 4.2648 2.2430
K 6.7606 -0.2288 6.7289
K 1.7242 0.2288 2.2430
K 4.2424 -1.6845 0.2907
K 4.2424 -6.0516 0.2922
K 6.7606 0.2288 2.2430
K 4.2424 -1.6845 4.1953
K 2.3492 -7.8032 6.7289
K 6.3496 4.2648 2.2430
K 4.2424 1.6845 8.6812
K 6.3496 -4.2648 6.7289
K 6.1356 7.8032 2.2430
K 4.2424 1.6845 4.7766
K 6.1356 -7.8032 6.7289
K 4.2424 -6.0516 4.1937
Tl 4.2424 -14.2443 8.6390
Tl 4.2424 10.5929 0.4933
Tl 4.2424 10.5929 3.9927
Tl 4.2424 -10.5929 4.9792
Tl 1.8016 -4.2285 2.2430
Tl 6.6832 4.2285 6.7289
Tl 4.2424 14.2443 4.1531
Tl 4.2424 -10.5929 8.4786
Tl 1.8016 4.2285 6.7289
Tl 4.2424 -14.2443 4.8188
Tl 6.6832 -4.2285 2.2430
Tl 4.2424 14.2443 0.3329
O 4.2424 5.8918 2.2430
O 4.2424 -0.4085 6.7289
O 4.2424 -5.8918 6.7289
O 4.2424 0.4085 2.2430
```

Calculated values
ΔE_f = -0.50 eV/atom
Space-group type = Cmcm, No. 63


Record 6
NaPO4 | GGA-PBE | optimized geometry

Structure (extended XYZ):
```
24
Lattice="6.6567 0.0000 0.0000 -2.2474 6.3614 0.0000 -1.4079 -2.3466 8.8463" Properties=species:S:1:pos:R:3 pbc="T T T"
P -0.6317 -1.7920 6.8116
P 1.8279 2.6463 8.0764
P 3.6330 5.8069 2.0347
P 1.1734 1.3686 0.7700
O 0.5809 2.2427 7.3586
O 5.1394 0.5015 2.8115
O 3.9619 4.4553 2.6295
O 0.3485 0.7022 4.6833
O 2.9537 1.6794 8.2680
O 2.7726 5.6175 0.6638
O 2.3465 4.0018 7.3196
O 0.0476 2.3354 0.5783
O -2.1381 3.5134 6.0349
O 0.6548 0.0131 1.5267
O 0.2287 -1.6026 8.1826
O 2.4204 1.7722 1.4877
O 0.3949 4.9357 3.8569
O 2.6064 -0.9208 4.9895
O 2.6528 3.3127 4.1631
O -0.9605 -0.4405 6.2168
Na 3.0535 1.0690 3.5197
Na -1.5534 1.4126 7.5591
Na 4.5547 2.6022 1.2872
Na -0.0522 2.9458 5.3266
```

Calculated values
ΔE_f = -1.68 eV/atom
Polymorph energy (0 for the lowest one) = 298.7 meV/atom
Space-group type = P-1, No. 2